Entry 1:
MgGaAu | r2SCAN | relaxed

Summary:
crystal system = hexagonal
energy = -67.56 eV/f.u.

Cell: 7.274 7.274 3.485 Å, 90.00 90.00 120.00°
Atoms (fractional coordinates):
Mg1 0.386 0.386 0.000
Mg2 0.614 0.000 0.000
Mg3 0.000 0.614 0.000
Ga1 0.722 0.722 0.500
Ga2 0.278 0.000 0.500
Ga3 0.000 0.278 0.500
Au1 0.000 0.000 0.000
Au2 0.667 0.333 0.500
Au3 0.333 0.667 0.500

---

Entry 2:
NbSe2 | r2SCAN | relaxed

Summary:
crystal system = hexagonal
energy = -56.23 eV/f.u.

Cell: 3.510 3.510 26.338 Å, 90.00 90.00 120.00°
Atoms (fractional coordinates):
Nb1 0.333 0.667 0.500
Nb2 0.000 0.000 0.000
Nb3 0.000 0.000 0.250
Nb4 0.000 0.000 0.750
Se1 0.333 0.667 0.313
Se2 0.333 0.667 0.063
Se3 0.333 0.667 0.687
Se4 0.667 0.333 0.188
Se5 0.667 0.333 0.437
Se6 0.667 0.333 0.563
Se7 0.333 0.667 0.937
Se8 0.667 0.333 0.812

---

Entry 3:
SrLaB12 | r2SCAN | relaxed

Summary:
crystal system = tetragonal
energy = -141.15 eV/f.u.

Cell: 4.167 4.167 8.342 Å, 90.00 90.00 90.00°
Atoms (fractional coordinates):
Sr1 0.000 0.000 0.500
La1 0.000 0.000 0.000
B1 0.201 0.500 0.249
B2 0.201 0.500 0.751
B3 0.500 0.500 0.399
B4 0.500 0.500 0.900
B5 0.500 0.201 0.249
B6 0.500 0.201 0.751
B7 0.500 0.500 0.100
B8 0.500 0.500 0.601
B9 0.500 0.799 0.249
B10 0.500 0.799 0.751
B11 0.799 0.500 0.249
B12 0.799 0.500 0.751

---

Entry 4:
La2InCu2 | r2SCAN | relaxed

Summary:
crystal system = tetragonal
energy = -105.65 eV/f.u.

Cell: 7.846 7.846 3.938 Å, 90.00 90.00 90.00°
Atoms (fractional coordinates):
La1 0.680 0.180 0.500
La2 0.180 0.320 0.500
La3 0.820 0.680 0.500
La4 0.320 0.820 0.500
In1 0.000 0.000 0.000
In2 0.500 0.500 0.000
Cu1 0.385 0.115 0.000
Cu2 0.885 0.385 0.000
Cu3 0.115 0.615 0.000
Cu4 0.615 0.885 0.000

---

Entry 5:
TeF4 | r2SCAN | relaxed

Summary:
crystal system = orthorhombic
energy = -49.00 eV/f.u.

Cell: 5.272 6.191 9.317 Å, 90.00 90.00 90.00°
Atoms (fractional coordinates):
Te1 0.147 0.998 0.622
Te2 0.353 0.002 0.122
Te3 0.647 0.502 0.378
Te4 0.853 0.498 0.878
F1 0.710 0.234 0.943
F2 0.061 0.862 0.044
F3 0.561 0.638 0.956
F4 0.413 0.704 0.249
F5 0.149 0.041 0.283
F6 0.351 0.959 0.783
F7 0.649 0.459 0.717
F8 0.439 0.138 0.544
F9 0.087 0.296 0.749
F10 0.851 0.541 0.217
F11 0.939 0.362 0.456
F12 0.290 0.734 0.557
F13 0.587 0.204 0.251
F14 0.790 0.766 0.443
F15 0.913 0.796 0.751
F16 0.210 0.266 0.057

---

Entry 6:
Si3H | r2SCAN | relaxed

Summary:
crystal system = monoclinic
energy = -29.66 eV/f.u.

Cell: 3.840 3.840 11.926 Å, 80.78 80.74 60.00°
Atoms (fractional coordinates):
Si1 0.412 0.412 0.764
Si2 0.588 0.588 0.236
Si3 0.345 0.345 0.966
Si4 0.655 0.655 0.034
Si5 0.767 0.766 0.699
Si6 0.233 0.234 0.301
H1 0.810 0.808 0.572
H2 0.190 0.192 0.428

---

Entry 7:
Tm2CoOs | r2SCAN | relaxed

Summary:
crystal system = cubic
energy = -137.37 eV/f.u.

Cell: 4.679 4.679 4.679 Å, 60.00 60.00 60.00°
Atoms (fractional coordinates):
Tm1 0.000 0.000 0.000
Tm2 0.500 0.500 0.500
Co1 0.250 0.250 0.250
Os1 0.750 0.750 0.750

---

Entry 8:
Tm2TlCd | r2SCAN | relaxed

Summary:
crystal system = cubic
energy = -145.09 eV/f.u.

Cell: 5.227 5.227 5.227 Å, 60.00 60.00 60.00°
Atoms (fractional coordinates):
Tm1 0.000 0.000 0.000
Tm2 0.500 0.500 0.500
Tl1 0.750 0.750 0.750
Cd1 0.250 0.250 0.250

---

Entry 9:
K3P11 | r2SCAN | relaxed

Summary:
crystal system = orthorhombic
energy = -122.32 eV/f.u.

Cell: 10.623 10.611 13.805 Å, 90.00 90.00 90.00°
Atoms (fractional coordinates):
K1 0.427 0.232 0.991
K2 0.927 0.268 0.509
K3 0.573 0.732 0.509
K4 0.073 0.768 0.991
K5 0.573 0.768 0.009
K6 0.073 0.732 0.491
K7 0.427 0.268 0.491
K8 0.927 0.232 0.009
K9 0.250 0.500 0.216
K10 0.750 0.000 0.284
K11 0.750 0.500 0.784
K12 0.250 0.000 0.716
P1 0.010 0.510 0.653
P2 0.510 0.990 0.847
P3 0.990 0.010 0.847
P4 0.490 0.490 0.653
P5 0.990 0.490 0.347
P6 0.490 0.010 0.153
P7 0.010 0.990 0.153
P8 0.510 0.510 0.347
P9 0.186 0.418 0.623
P10 0.686 0.082 0.877
P11 0.814 0.918 0.877
P12 0.314 0.582 0.623
P13 0.250 0.000 0.475
P14 0.750 0.500 0.025
P15 0.750 0.000 0.525
P16 0.250 0.500 0.975
P17 0.745 0.322 0.239
P18 0.245 0.178 0.261
P19 0.255 0.822 0.261
P20 0.755 0.678 0.239
P21 0.255 0.678 0.761
P22 0.755 0.822 0.739
P23 0.745 0.178 0.739
P24 0.245 0.322 0.761
P25 0.934 0.411 0.211
P26 0.434 0.089 0.289
P27 0.066 0.911 0.289
P28 0.566 0.589 0.211
P29 0.066 0.589 0.789
P30 0.566 0.911 0.711
P31 0.934 0.089 0.711
P32 0.434 0.411 0.789
P33 0.621 0.418 0.129
P34 0.121 0.082 0.371
P35 0.379 0.918 0.371
P36 0.879 0.582 0.129
P37 0.379 0.582 0.871
P38 0.879 0.918 0.629
P39 0.621 0.082 0.629
P40 0.121 0.418 0.871
P41 0.686 0.418 0.377
P42 0.186 0.082 0.123
P43 0.314 0.918 0.123
P44 0.814 0.582 0.377

---

Entry 10:
NiBi3 | r2SCAN | relaxed

Summary:
crystal system = orthorhombic
energy = -187.34 eV/f.u.

Cell: 4.108 8.964 11.778 Å, 90.00 90.00 90.00°
Atoms (fractional coordinates):
Ni1 0.250 0.586 0.982
Ni2 0.750 0.414 0.018
Ni3 0.250 0.086 0.518
Ni4 0.750 0.914 0.482
Bi1 0.750 0.696 0.110
Bi2 0.250 0.304 0.890
Bi3 0.750 0.196 0.390
Bi4 0.250 0.804 0.610
Bi5 0.750 0.627 0.418
Bi6 0.250 0.373 0.582
Bi7 0.750 0.127 0.082
Bi8 0.250 0.873 0.918
Bi9 0.250 0.904 0.329
Bi10 0.750 0.096 0.671
Bi11 0.250 0.404 0.171
Bi12 0.750 0.596 0.829

---

Entry 11:
AcNiO3 | r2SCAN | relaxed

Summary:
crystal system = cubic
energy = -110.91 eV/f.u.

Cell: 3.879 3.879 3.879 Å, 90.00 90.00 90.00°
Atoms (fractional coordinates):
Ac1 0.000 0.000 0.000
Ni1 0.500 0.500 0.500
O1 0.500 0.500 0.000
O2 0.500 0.000 0.500
O3 0.000 0.500 0.500

---

Entry 12:
DyWO4 | r2SCAN | relaxed

Summary:
crystal system = monoclinic
energy = -125.00 eV/f.u.

Cell: 5.492 5.122 5.237 Å, 82.36 90.00 90.00°
Atoms (fractional coordinates):
Dy1 0.263 0.500 0.750
Dy2 0.737 0.500 0.250
W1 0.806 0.000 0.750
W2 0.194 0.000 0.250
O1 0.065 0.233 0.491
O2 0.935 0.233 0.991
O3 0.586 0.256 0.614
O4 0.414 0.256 0.114
O5 0.586 0.744 0.886
O6 0.414 0.744 0.386
O7 0.065 0.767 0.009
O8 0.935 0.767 0.509

---

Entry 13:
KP4N7 | r2SCAN | relaxed

Summary:
crystal system = orthorhombic
energy = -114.39 eV/f.u.

Cell: 4.663 9.843 12.247 Å, 90.00 90.00 90.00°
Atoms (fractional coordinates):
K1 0.260 0.151 0.750
K2 0.760 0.349 0.250
K3 0.740 0.849 0.250
K4 0.240 0.651 0.750
P1 0.788 0.412 0.869
P2 0.288 0.088 0.131
P3 0.212 0.588 0.369
P4 0.712 0.912 0.631
P5 0.212 0.588 0.131
P6 0.712 0.912 0.869
P7 0.788 0.412 0.631
P8 0.288 0.088 0.369
P9 0.781 0.157 0.000
P10 0.281 0.343 0.000
P11 0.219 0.843 0.500
P12 0.719 0.657 0.500
P13 0.219 0.843 0.000
P14 0.719 0.657 0.000
P15 0.781 0.157 0.500
P16 0.281 0.343 0.500
N1 0.703 0.367 0.750
N2 0.203 0.133 0.250
N3 0.297 0.633 0.250
N4 0.797 0.867 0.750
N5 0.121 0.387 0.893
N6 0.621 0.113 0.107
N7 0.879 0.613 0.393
N8 0.379 0.887 0.607
N9 0.879 0.613 0.107
N10 0.379 0.887 0.893
N11 0.121 0.387 0.607
N12 0.621 0.113 0.393
N13 0.818 0.061 0.897
N14 0.318 0.439 0.103
N15 0.182 0.939 0.397
N16 0.682 0.561 0.603
N17 0.182 0.939 0.103
N18 0.682 0.561 0.897
N19 0.818 0.061 0.603
N20 0.318 0.439 0.397
N21 0.619 0.301 0.958
N22 0.119 0.199 0.042
N23 0.381 0.699 0.458
N24 0.881 0.801 0.542
N25 0.381 0.699 0.042
N26 0.881 0.801 0.958
N27 0.619 0.301 0.542
N28 0.119 0.199 0.458

---

Entry 14:
Zr3Sn | r2SCAN | relaxed

Summary:
crystal system = tetragonal
energy = -94.51 eV/f.u.

Cell: 5.677 5.677 5.677 Å, 134.91 134.91 65.68°
Atoms (fractional coordinates):
Zr1 0.500 0.500 0.000
Zr2 0.250 0.750 0.500
Zr3 0.750 0.250 0.500
Sn1 0.000 0.000 0.000

---

Entry 15:
Ti8Cu3Ni | r2SCAN | relaxed

Summary:
crystal system = tetragonal
energy = -149.85 eV/f.u.

Cell: 2.941 2.941 20.848 Å, 90.00 90.00 90.00°
Atoms (fractional coordinates):
Ti1 0.500 0.500 0.075
Ti2 0.000 0.000 0.328
Ti3 0.500 0.500 0.582
Ti4 0.000 0.000 0.835
Ti5 0.000 0.000 0.165
Ti6 0.500 0.500 0.418
Ti7 0.000 0.000 0.672
Ti8 0.500 0.500 0.925
Cu1 0.500 0.500 0.247
Cu2 0.000 0.000 0.500
Cu3 0.500 0.500 0.753
Ni1 0.000 0.000 0.000

---

Entry 16:
Tm4Zn5Ge6 | r2SCAN | relaxed

Summary:
crystal system = orthorhombic
energy = -277.34 eV/f.u.

Cell: 9.391 9.391 15.097 Å, 90.00 90.00 154.35°
Atoms (fractional coordinates):
Tm1 0.032 0.968 0.737
Tm2 0.968 0.032 0.237
Tm3 0.832 0.168 0.696
Tm4 0.168 0.832 0.196
Tm5 0.175 0.825 0.555
Tm6 0.825 0.175 0.055
Tm7 0.983 0.017 0.500
Tm8 0.017 0.983 0.000
Zn1 0.565 0.435 0.315
Zn2 0.435 0.565 0.815
Zn3 0.849 0.151 0.373
Zn4 0.151 0.849 0.873
Zn5 0.350 0.650 0.519
Zn6 0.650 0.350 0.019
Zn7 0.699 0.301 0.375
Zn8 0.301 0.699 0.875
Zn9 0.655 0.345 0.727
Zn10 0.345 0.655 0.227
Ge1 0.228 0.772 0.734
Ge2 0.569 0.431 0.594
Ge3 0.223 0.777 0.014
Ge4 0.777 0.223 0.514
Ge5 0.560 0.440 0.146
Ge6 0.440 0.560 0.646
Ge7 0.567 0.433 0.871
Ge8 0.433 0.567 0.371
Ge9 0.887 0.113 0.882
Ge10 0.113 0.887 0.382
Ge11 0.431 0.569 0.094
Ge12 0.772 0.228 0.234

---

Entry 17:
Ho3Ge4Pd4 | r2SCAN | relaxed

Summary:
crystal system = orthorhombic
energy = -256.52 eV/f.u.

Cell: 4.144 7.054 8.044 Å, 116.01 104.92 90.00°
Atoms (fractional coordinates):
Ho1 0.126 0.626 0.251
Ho2 0.874 0.374 0.749
Ho3 0.000 0.000 0.000
Ge1 0.782 0.782 0.563
Ge2 0.218 0.218 0.437
Ge3 0.500 0.311 0.000
Ge4 0.500 0.689 0.000
Pd1 0.676 0.377 0.352
Pd2 0.324 0.025 0.648
Pd3 0.676 0.975 0.352
Pd4 0.324 0.623 0.648